Na6NbIn3Si2P4O24 | Materials Project | PBE-GGA | relaxed; magnetic moment = 0.0 μB/cell; density = 3.5 g cm⁻³; VASP energy = -6.654 eV per atom
1.0
-9.888 -11.306 -5.010
5.206 -1.285 -7.393
7.283 -1.370 5.375
Na Nb In Si P O
12 2 6 4 8 48
Direct
0.250 0.751 0.996
0.745 0.755 0.486
0.750 0.251 0.996
0.245 0.255 0.486
0.498 0.090 0.736
0.505 0.884 0.250
0.998 0.590 0.736
0.005 0.384 0.250
0.190 0.931 0.290
0.809 0.078 0.712
0.690 0.431 0.290
0.309 0.578 0.712
0.897 0.746 0.944
0.397 0.246 0.944
0.101 0.756 0.557
0.898 0.245 0.440
0.103 0.250 0.052
0.601 0.256 0.557
0.398 0.745 0.440
0.603 0.750 0.052
0.351 0.900 0.754
0.653 0.101 0.253
0.851 0.400 0.754
0.153 0.601 0.253
0.001 0.949 0.760
0.998 0.046 0.246
0.501 0.449 0.760
0.498 0.546 0.246
0.648 0.895 0.739
0.355 0.103 0.258
0.148 0.395 0.739
0.855 0.603 0.258
0.156 0.564 0.742
0.846 0.584 0.774
0.852 0.434 0.236
0.155 0.424 0.245
0.656 0.064 0.742
0.346 0.084 0.774
0.352 0.934 0.236
0.655 0.924 0.245
0.433 0.550 0.597
0.571 0.534 0.935
0.557 0.453 0.415
0.437 0.445 0.076
0.933 0.050 0.597
0.071 0.034 0.935
0.057 0.953 0.415
0.937 0.945 0.076
0.256 0.824 0.746
0.748 0.834 0.761
0.736 0.194 0.240
0.258 0.156 0.246
0.756 0.324 0.746
0.248 0.334 0.761
0.236 0.694 0.240
0.758 0.656 0.246
0.354 0.885 0.577
0.644 0.853 0.896
0.658 0.142 0.431
0.359 0.168 0.101
0.854 0.385 0.577
0.144 0.353 0.896
0.158 0.642 0.431
0.859 0.668 0.101
0.457 0.841 0.934
0.553 0.836 0.558
0.534 0.168 0.081
0.452 0.152 0.437
0.957 0.341 0.934
0.053 0.336 0.558
0.034 0.668 0.081
0.952 0.652 0.437
0.066 0.832 0.743
0.918 0.856 0.768
0.920 0.152 0.241
0.081 0.137 0.246
0.566 0.332 0.743
0.418 0.356 0.768
0.420 0.652 0.241
0.581 0.637 0.246

Na3AlSi2SnSO12 | Materials Project | PBE-GGA | relaxed; magnetic moment = 0.0 μB/cell; density = 3.3 g cm⁻³; VASP energy = -6.434 eV per atom
1.0
8.871 -0.002 0.030
-4.437 7.681 -0.030
0.078 -0.045 22.157
Na Al Si Sn S O
18 6 12 6 6 72
Direct
0.628 0.998 0.246
0.999 0.644 0.246
0.002 0.372 0.746
0.356 0.001 0.746
0.294 0.331 0.580
0.666 0.978 0.580
0.669 0.706 0.080
0.022 0.334 0.080
0.961 0.664 0.913
0.333 0.311 0.913
0.336 0.039 0.413
0.689 0.667 0.413
0.005 0.017 0.497
0.983 0.995 0.997
0.672 0.350 0.830
0.650 0.328 0.330
0.339 0.684 0.164
0.316 0.661 0.664
0.003 0.007 0.353
0.993 0.997 0.853
0.670 0.340 0.686
0.660 0.330 0.186
0.336 0.673 0.019
0.327 0.664 0.519
0.295 0.010 0.253
0.709 0.700 0.252
0.300 0.291 0.752
0.990 0.705 0.753
0.961 0.343 0.587
0.376 0.033 0.586
0.967 0.624 0.086
0.657 0.039 0.087
0.628 0.677 0.920
0.043 0.366 0.919
0.634 0.957 0.419
0.323 0.372 0.420
0.016 0.006 0.649
0.994 0.984 0.149
0.683 0.339 0.982
0.661 0.317 0.482
0.350 0.673 0.316
0.327 0.650 0.816
0.001 0.290 0.251
0.710 0.999 0.751
0.668 0.623 0.585
0.377 0.332 0.085
0.335 0.957 0.918
0.043 0.665 0.418
0.196 0.029 0.312
0.837 0.799 0.310
0.973 0.175 0.303
0.201 0.163 0.810
0.971 0.804 0.812
0.825 0.027 0.803
0.778 0.964 0.694
0.174 0.223 0.692
0.037 0.826 0.693
0.777 0.826 0.192
0.036 0.222 0.194
0.174 0.963 0.193
0.862 0.362 0.646
0.504 0.133 0.643
0.640 0.509 0.637
0.867 0.496 0.143
0.638 0.138 0.146
0.491 0.360 0.137
0.445 0.298 0.028
0.841 0.557 0.025
0.704 0.160 0.026
0.443 0.159 0.525
0.702 0.555 0.528
0.840 0.296 0.526
0.529 0.695 0.979
0.170 0.466 0.976
0.306 0.842 0.970
0.534 0.830 0.476
0.305 0.471 0.479
0.158 0.694 0.470
0.111 0.631 0.361
0.508 0.890 0.358
0.370 0.493 0.360
0.110 0.492 0.858
0.369 0.889 0.861
0.507 0.630 0.860
0.029 0.825 0.413
0.820 0.966 0.408
0.160 0.175 0.410
0.034 0.180 0.908
0.175 0.971 0.913
0.825 0.840 0.910
0.968 0.156 0.590
0.184 0.020 0.586
0.818 0.802 0.590
0.980 0.816 0.086
0.844 0.032 0.090
0.198 0.182 0.090
0.696 0.158 0.747
0.487 0.299 0.741
0.827 0.508 0.744
0.701 0.513 0.241
0.842 0.304 0.247
0.492 0.173 0.244
0.635 0.489 0.923
0.851 0.353 0.919
0.485 0.136 0.924
0.647 0.149 0.419
0.511 0.365 0.423
0.864 0.515 0.424
0.362 0.492 0.080
0.154 0.633 0.074
0.494 0.841 0.077
0.367 0.846 0.574
0.508 0.638 0.580
0.159 0.506 0.577
0.301 0.823 0.257
0.517 0.686 0.253
0.152 0.469 0.257
0.314 0.483 0.753
0.177 0.699 0.757
0.531 0.848 0.757

Tb2MnS4 | Materials Project | PBE-GGA | relaxed; crystal system = orthorhombic; symmetry = No. 36; density = 5.5 g cm⁻³; VASP energy = -6.604 eV per atom
1.0
2.956 3.338 -4.696
-5.484 -0.829 3.343
3.979 8.688 8.680
Tb Mn S
4 2 8
Direct
0.381 0.619 0.784
0.619 0.381 0.284
0.137 0.863 0.582
0.863 0.137 0.082
0.126 0.874 0.945
0.874 0.126 0.445
0.791 0.209 0.634
0.209 0.791 0.134
0.491 0.509 0.996
0.509 0.491 0.496
0.760 0.240 0.895
0.240 0.760 0.395
0.039 0.961 0.771
0.961 0.039 0.271

Ta6CoC3S6 | Materials Project | PBE-GGA | relaxed; magnetic moment = 1.2 μB/cell; crystal system = monoclinic; symmetry = No. 12; density = 9.6 g cm⁻³; VASP energy = -9.014 eV per atom
1.0
-1.241 -2.410 5.027
4.321 -2.009 -3.147
6.292 3.832 4.470
Ta Co C S
6 1 3 6
Direct
0.454 0.787 0.640
0.121 0.121 0.635
0.787 0.454 0.640
0.546 0.213 0.360
0.213 0.546 0.360
0.879 0.879 0.365
0.000 0.000 0.000
0.500 0.500 0.500
0.170 0.830 0.500
0.830 0.170 0.500
0.613 0.945 0.166
0.277 0.277 0.164
0.945 0.613 0.166
0.387 0.055 0.834
0.055 0.387 0.834
0.723 0.723 0.836

Ba3CaRu2O9 | Materials Project | PBE-GGA | relaxed; magnetic moment = 12.0 μB/cell; crystal system = hexagonal; symmetry = No. 190; density = 5.7 g cm⁻³; VASP energy = -6.788 eV per atom
1.0
-2.402 5.077 2.060
0.976 -0.684 -5.862
-13.618 -5.798 -1.590
Ba Ca Ru O
6 2 4 18
Direct
0.000 0.000 0.250
0.000 0.000 0.750
0.333 0.667 0.097
0.333 0.667 0.403
0.667 0.333 0.903
0.667 0.333 0.597
0.000 0.000 0.000
0.000 0.000 0.500
0.333 0.667 0.843
0.333 0.667 0.657
0.667 0.333 0.157
0.667 0.333 0.343
0.528 0.033 0.250
0.505 0.472 0.250
0.967 0.495 0.250
0.495 0.967 0.750
0.472 0.505 0.750
0.033 0.528 0.750
0.165 0.353 0.910
0.188 0.835 0.590
0.647 0.812 0.590
0.647 0.812 0.910
0.188 0.835 0.910
0.812 0.647 0.090
0.835 0.188 0.090
0.353 0.165 0.090
0.165 0.353 0.590
0.353 0.165 0.410
0.812 0.647 0.410
0.835 0.188 0.410

Mg3Zn | Materials Project | PBE-GGA | relaxed; crystal system = hexagonal; symmetry = No. 194; density = 2.8 g cm⁻³; VASP energy = -1.564 eV per atom
1.0
-5.043 -2.876 -1.956
3.277 -2.356 4.609
-2.737 2.579 3.264
Mg Zn
6 2
Direct
0.660 0.830 0.750
0.170 0.340 0.750
0.170 0.830 0.750
0.830 0.660 0.250
0.830 0.170 0.250
0.340 0.170 0.250
0.667 0.333 0.750
0.333 0.667 0.250

MgTi3 | Materials Project | PBE-GGA | relaxed; magnetic moment = 3.4 μB/cell; crystal system = cubic; symmetry = No. 225; density = 3.8 g cm⁻³; VASP energy = -6.101 eV per atom
1.0
0.000 3.330 3.330
3.330 0.000 3.330
3.330 3.330 0.000
Mg Ti
1 3
Direct
0.500 0.500 0.500
0.000 0.000 0.000
0.250 0.250 0.250
0.750 0.750 0.750

Zr2S2O | Materials Project | PBE-GGA | relaxed; magnetic moment = 0.0 μB/cell; crystal system = tetragonal; symmetry = No. 123; density = 3.7 g cm⁻³; VASP energy = -6.498 eV per atom
1.0
3.335 0.000 0.000
0.000 3.335 0.000
0.000 0.000 10.698
Zr S O
2 2 1
Direct
0.500 0.500 0.182
0.500 0.500 0.818
0.500 0.500 0.591
0.500 0.500 0.409
0.500 0.500 0.000

Na4SrU3O12 | Materials Project | PBE-GGA | relaxed; magnetic moment = 0.0 μB/cell; crystal system = cubic; symmetry = No. 229; density = 5.5 g cm⁻³; VASP energy = -7.736 eV per atom
1.0
-1.846 3.787 6.237
-5.191 1.229 -5.310
0.323 -7.361 1.537
Na Sr U O
4 1 3 12
Direct
0.500 0.500 0.500
0.000 0.000 0.500
0.000 0.500 0.000
0.500 0.000 0.000
0.000 0.000 0.000
0.000 0.500 0.500
0.500 0.000 0.500
0.500 0.500 0.000
0.500 0.750 0.250
0.500 0.250 0.750
0.250 0.500 0.750
0.750 0.500 0.250
0.750 0.250 0.500
0.250 0.750 0.500
0.000 0.276 0.276
0.000 0.724 0.724
0.276 0.000 0.276
0.724 0.000 0.724
0.276 0.276 0.000
0.724 0.724 0.000

Tm10In20Ni9 | Materials Project | PBE-GGA | relaxed; magnetic moment = 0.0 μB/cell; crystal system = tetragonal; symmetry = No. 129; density = 9.3 g cm⁻³; VASP energy = -4.308 eV per atom
1.0
-11.021 1.703 -7.316
-7.222 -5.970 9.491
-1.409 8.063 4.000
Tm In Ni
20 40 18
Direct
0.500 0.000 0.360
0.000 0.500 0.640
0.500 0.000 0.834
0.000 0.500 0.166
0.500 0.277 0.767
0.500 0.723 0.767
0.777 0.000 0.767
0.223 0.000 0.767
0.000 0.223 0.233
0.000 0.777 0.233
0.723 0.500 0.233
0.277 0.500 0.233
0.704 0.204 0.267
0.704 0.796 0.267
0.296 0.204 0.267
0.296 0.796 0.267
0.796 0.296 0.733
0.796 0.704 0.733
0.204 0.296 0.733
0.204 0.704 0.733
0.346 0.654 0.000
0.346 0.346 0.000
0.654 0.654 0.000
0.654 0.346 0.000
0.154 0.846 0.000
0.154 0.154 0.000
0.846 0.846 0.000
0.846 0.154 0.000
0.869 0.131 0.500
0.869 0.869 0.500
0.131 0.131 0.500
0.131 0.869 0.500
0.631 0.369 0.500
0.631 0.631 0.500
0.369 0.369 0.500
0.369 0.631 0.500
0.500 0.833 0.093
0.500 0.167 0.093
0.333 0.000 0.093
0.667 0.000 0.093
0.000 0.667 0.907
0.000 0.333 0.907
0.167 0.500 0.907
0.833 0.500 0.907
0.632 0.132 0.590
0.632 0.868 0.590
0.368 0.132 0.590
0.368 0.868 0.590
0.868 0.368 0.410
0.868 0.632 0.410
0.132 0.368 0.410
0.132 0.632 0.410
0.500 0.616 0.236
0.500 0.384 0.236
0.116 0.000 0.236
0.884 0.000 0.236
0.000 0.884 0.764
0.000 0.116 0.764
0.384 0.500 0.764
0.616 0.500 0.764
0.500 0.500 0.000
0.000 0.000 0.000
0.500 0.778 0.408
0.500 0.222 0.408
0.278 0.000 0.408
0.722 0.000 0.408
0.000 0.722 0.592
0.000 0.278 0.592
0.222 0.500 0.592
0.778 0.500 0.592
0.844 0.344 0.105
0.844 0.656 0.105
0.156 0.344 0.105
0.156 0.656 0.105
0.656 0.156 0.895
0.656 0.844 0.895
0.344 0.156 0.895
0.344 0.844 0.895

Number 6 is which compound? Mg3Zn